No. 1
## NaY3SiS7 (PBE)

Data for crystalline NaY3SiS7 at its relaxed geometry.

Properties
The total energy is -148.15 eV/cell.

```
data_NaY3SiS7
_cell_length_a 9.9851
_cell_length_b 9.9851
_cell_length_c 5.7561
_cell_angle_alpha 90.00
_cell_angle_beta 90.00
_cell_angle_gamma 120.00
_symmetry_space_group_name_H-M 'P 63'
_symmetry_Int_Tables_number 173
loop_
_symmetry_equiv_pos_as_xyz
'x,y,z'
'x-y,x,z+1/2'
'-y,x-y,z'
'-x,-y,z+1/2'
'-x+y,-x,z'
'y,-x+y,z+1/2'
loop_
_atom_site_label
_atom_site_type_symbol
_atom_site_fract_x
_atom_site_fract_y
_atom_site_fract_z
Na1 Na 0.0000 0.0000 0.0000
Y1 Y 0.1311 0.7689 0.2159
Si1 Si 0.3333 0.6667 0.6282
S1 S 0.0973 0.8347 0.7529
S2 S 0.1087 0.5226 0.4771
S3 S 0.3333 0.6667 0.9968
```

---

No. 2
## NaSnS2 (PBE)

Data for crystalline NaSnS2 at its relaxed geometry.

Properties
The total energy is -49.01 eV/cell.

```
data_NaSnS2
_cell_length_a 3.9067
_cell_length_b 3.9067
_cell_length_c 20.5571
_cell_angle_alpha 90.00
_cell_angle_beta 90.00
_cell_angle_gamma 120.00
_symmetry_space_group_name_H-M 'R -3 m'
_symmetry_Int_Tables_number 166
_symmetry_space_group_name_Hall '-R 3 2"'
loop_
_atom_site_label
_atom_site_type_symbol
_atom_site_fract_x
_atom_site_fract_y
_atom_site_fract_z
Na1 Na 0.0000 0.0000 0.0000
Sn1 Sn 0.0000 0.0000 0.5000
S1 S 0.0000 0.0000 0.2432
```

---

No. 3
## Na2SnS (PBE)

Data for crystalline Na2SnS at its relaxed geometry.

Properties
The total energy is -48.98 eV/cell.

```
data_Na2SnS
_cell_length_a 6.7270
_cell_length_b 6.8661
_cell_length_c 10.8475
_cell_angle_alpha 89.04
_cell_angle_beta 72.67
_cell_angle_gamma 81.81
_symmetry_space_group_name_H-M 'P -1'
_symmetry_Int_Tables_number 2
loop_
_symmetry_equiv_pos_as_xyz
'x,y,z'
'-x,-y,-z'
loop_
_atom_site_label
_atom_site_type_symbol
_atom_site_fract_x
_atom_site_fract_y
_atom_site_fract_z
Na1 Na 0.0000 0.0000 0.0000
Na2 Na 0.0000 0.5000 0.5000
Na3 Na 0.0019 0.4895 0.1686
Na4 Na 0.0157 0.9985 0.6621
Na5 Na 0.5001 0.2512 0.5897
Sn1 Sn 0.4898 0.2511 0.2752
Sn2 Sn 0.4962 0.7470 0.1055
S1 S 0.2668 0.1331 0.1251
S2 S 0.2697 0.6429 0.9562
```

---

No. 4
## Na2Ta3S6 (PBE)

Data for crystalline Na2Ta3S6 at its relaxed geometry.

Properties
The total energy is -457.47 eV/cell.

```
data_Na2Ta3S6
_cell_length_a 5.8476
_cell_length_b 5.8476
_cell_length_c 43.5422
_cell_angle_alpha 90.00
_cell_angle_beta 90.00
_cell_angle_gamma 120.00
_symmetry_space_group_name_H-M 'R 3 2'
_symmetry_Int_Tables_number 155
_symmetry_space_group_name_Hall 'R 3 2"'
loop_
_atom_site_label
_atom_site_type_symbol
_atom_site_fract_x
_atom_site_fract_y
_atom_site_fract_z
Na1 Na 0.0000 0.0000 0.0835
Na2 Na 0.0000 0.0000 0.4168
Ta1 Ta 0.0000 0.0000 0.0000
Ta2 Ta 0.0000 0.0000 0.3332
Ta3 Ta 0.9998 0.3331 0.1667
S1 S 0.0000 0.6675 0.2024
S2 S 0.9999 0.6684 0.2976
```

---

No. 5
## Na3TaS4 (PBE)

Data for crystalline Na3TaS4 at its relaxed geometry.

Properties
The total energy is -1328.05 eV/cell.

```
data_Na3TaS4
_cell_length_a 27.4855
_cell_length_b 28.7256
_cell_length_c 8.0285
_cell_angle_alpha 90.00
_cell_angle_beta 90.00
_cell_angle_gamma 90.00
_symmetry_space_group_name_H-M 'F d d 2'
_symmetry_Int_Tables_number 43
_symmetry_space_group_name_Hall 'F 2 -2d'
loop_
_atom_site_label
_atom_site_type_symbol
_atom_site_fract_x
_atom_site_fract_y
_atom_site_fract_z
Na1 Na 0.0000 0.0000 0.0000
Na2 Na 0.0000 0.0000 0.4846
Na3 Na 0.0018 0.2535 0.9685
Na4 Na 0.0248 0.1231 0.2537
Na5 Na 0.0953 0.3604 0.5965
Na6 Na 0.1118 0.1569 0.8166
Na7 Na 0.1204 0.0277 0.7596
Ta1 Ta 0.0101 0.3849 0.1848
Ta2 Ta 0.1228 0.4936 0.6896
S1 S 0.0004 0.1557 0.9260
S2 S 0.0499 0.3412 0.9898
S3 S 0.0543 0.4502 0.2395
S4 S 0.0568 0.4470 0.7362
S5 S 0.0638 0.0940 0.5746
S6 S 0.0770 0.2124 0.2416
S7 S 0.0842 0.2518 0.6827
S8 S 0.0954 0.0639 0.0918
```

---

No. 6
## NaTbS2 (PBE)

Data for crystalline NaTbS2 at its relaxed geometry.

Properties
The total energy is -64.76 eV/cell.

```
data_NaTbS2
_cell_length_a 4.0117
_cell_length_b 4.0117
_cell_length_c 19.9380
_cell_angle_alpha 90.00
_cell_angle_beta 90.00
_cell_angle_gamma 120.00
_symmetry_space_group_name_H-M 'R -3 m'
_symmetry_Int_Tables_number 166
_symmetry_space_group_name_Hall '-R 3 2"'
loop_
_atom_site_label
_atom_site_type_symbol
_atom_site_fract_x
_atom_site_fract_y
_atom_site_fract_z
Na1 Na 0.0000 0.0000 0.0000
Tb1 Tb 0.0000 0.0000 0.5000
S1 S 0.0000 0.0000 0.2428
```